Computed, not measured: an optimized crystal structure of Na2Ti2O5 at the PBE level of DFT.

Cell and atoms, written as POSCAR:
```
Na2Ti2O5
1.0
1.833 5.959 0.000
-1.833 5.959 0.000
0.000 0.908 5.752
O Na Ti
5 2 2
Direct
0.875 0.875 0.601
0.000 0.000 0.000
0.321 0.321 0.013
0.679 0.679 0.987
0.125 0.125 0.399
0.400 0.400 0.355
0.600 0.600 0.645
0.145 0.145 0.099
0.855 0.855 0.901
```

The total energy comes out at -7.43 eV/atom. Its formation energy from the elements is -3.02 eV per atom.